No. 1
Compound: Ni5P4
Source: the Materials Project
Functional: PBE-GGA
Structure: relaxed

Lattice parameters (Å, degrees): 6.7786 6.7786 10.9778 90.00 90.00 120.00
Positions (direct):
P 0.6420 0.8210 0.4423
P 0.1819 0.8181 0.7316
P 0.3638 0.1819 0.2316
P 0.0000 0.0000 0.5002
Ni 0.5371 0.0741 0.0890
Ni 0.5405 0.4595 0.3798
P 0.6667 0.3333 0.5589
Ni 0.0810 0.5405 0.8798
Ni 0.0741 0.5371 0.5890
P 0.6362 0.8181 0.7316
Ni 0.5859 0.7930 0.2377
Ni 0.9190 0.4595 0.3798
P 0.3580 0.1790 0.9423
Ni 0.2070 0.4141 0.2377
P 0.8210 0.1790 0.9423
P 0.1790 0.3580 0.4423
Ni 0.2070 0.7930 0.2377
P 0.0000 0.0000 0.0002
Ni 0.5371 0.4629 0.0890
Ni 0.4595 0.5405 0.8798
Ni 0.4595 0.9190 0.8798
Ni 0.4629 0.5371 0.5890
Ni 0.0000 0.0000 0.6995
P 0.8181 0.1819 0.2316
Ni 0.5405 0.0810 0.3798
P 0.8210 0.6420 0.9423
Ni 0.4629 0.9259 0.5890
P 0.1819 0.3638 0.7316
Ni 0.9259 0.4629 0.0890
Ni 0.0000 0.0000 0.1995
P 0.8181 0.6362 0.2316
Ni 0.7930 0.5859 0.7377
P 0.3333 0.6667 0.0589
Ni 0.7930 0.2070 0.7377
Ni 0.4141 0.2070 0.7377
P 0.1790 0.8210 0.4423

Output
space-group type	P6_3mc (186)
total energy	-6.09	eV per atom
ΔE_f	-0.477	eV/atom

No. 2
Compound: V2FeSe4
Source: the Materials Project
Functional: PBE-GGA
Structure: relaxed

Lattice parameters (Å, degrees): 6.8185 6.8185 6.1859 64.45 64.45 28.49
Positions (direct):
Se 0.6396 0.6396 0.0250
Se 0.8950 0.8950 0.4432
V 0.2550 0.2550 0.6846
Se 0.3604 0.3604 0.9750
Fe 0.0000 0.0000 0.0000
V 0.7450 0.7450 0.3154
Se 0.1050 0.1050 0.5568

Output
space-group type	C2/m (12)
total energy	-6.37	eV per atom
ΔE_f	-0.835	eV/atom
magnetization	0.38	μB per atom
distance to the lowest polymorph of the same formula	0.000	eV/atom

No. 3
Compound: ZnSeO4
Source: the Materials Project
Functional: PBE-GGA
Structure: relaxed

Lattice parameters (Å, degrees): 4.9891 6.9076 9.1779 90.00 90.00 90.00
Positions (direct):
O 0.6824 0.5451 0.8706
O 0.0656 0.2500 0.8675
Se 0.4658 0.2500 0.1817
O 0.7831 0.2500 0.1207
O 0.7169 0.2500 0.6207
Zn 0.0000 0.0000 0.0000
O 0.8176 0.9549 0.3706
O 0.4344 0.2500 0.3675
O 0.1824 0.0451 0.6294
O 0.2169 0.7500 0.8793
O 0.5656 0.7500 0.6325
O 0.6824 0.9549 0.8706
Se 0.5342 0.7500 0.8183
Se 0.0342 0.2500 0.6817
Zn 0.0000 0.5000 0.0000
O 0.3176 0.0451 0.1294
Zn 0.5000 0.0000 0.5000
O 0.1824 0.4549 0.6294
Zn 0.5000 0.5000 0.5000
O 0.2831 0.7500 0.3793
O 0.9344 0.7500 0.1325
O 0.8176 0.5451 0.3706
O 0.3176 0.4549 0.1294
Se 0.9658 0.7500 0.3183

Output
space-group type	Pnma (62)
total energy	-4.99	eV per atom
ΔE_f	-1.356	eV/atom

No. 4
Compound: KLaMg6O8
Source: the Materials Project
Functional: PBE-GGA
Structure: relaxed

Lattice parameters (Å, degrees): 9.3004 4.6272 4.6272 90.00 90.00 90.00
Positions (direct):
Mg 0.7760 0.0000 0.5000
O 0.5000 0.0000 0.5000
Mg 0.7760 0.5000 0.0000
Mg 0.2240 0.0000 0.5000
O 0.7458 0.0000 0.0000
Mg 0.0000 0.5000 0.5000
O 0.2542 0.0000 0.0000
O 0.7514 0.5000 0.5000
O 0.5000 0.5000 0.0000
O 0.0000 0.5000 0.0000
O 0.0000 0.0000 0.5000
O 0.2486 0.5000 0.5000
La 0.5000 0.0000 0.0000
K 0.0000 0.0000 0.0000
Mg 0.5000 0.5000 0.5000
Mg 0.2240 0.5000 0.0000

Output
space-group type	P4/mmm (123)
total energy	-5.73	eV per atom
ΔE_f	-2.618	eV/atom
magnetization	0.00	μB per atom
distance to the lowest polymorph of the same formula	0.113	eV/atom

No. 5
Compound: Na2HfS3O15
Source: the Materials Project
Functional: PBE-GGA
Structure: relaxed

Lattice parameters (Å, degrees): 6.9660 7.8884 22.5178 90.00 90.00 90.00
Positions (direct):
S 0.9970 0.1067 0.9334
O 0.3448 0.5201 0.0729
O 0.7797 0.8227 0.1641
O 0.8603 0.5476 0.8483
O 0.9544 0.8224 0.4314
Hf 0.3326 0.9319 0.5842
O 0.3489 0.8264 0.6751
O 0.5420 0.6837 0.9093
O 0.2014 0.6988 0.9413
O 0.7986 0.1988 0.5587
O 0.5456 0.1776 0.9314
O 0.3524 0.9124 0.0270
Hf 0.6674 0.4319 0.9158
O 0.5844 0.7166 0.4326
O 0.1397 0.0476 0.6517
O 0.8448 0.9799 0.9271
S 0.6661 0.1336 0.6033
O 0.5894 0.4078 0.0055
O 0.2850 0.0443 0.7514
O 0.5376 0.6633 0.2730
O 0.2135 0.5831 0.2222
O 0.8524 0.5876 0.9730
Hf 0.1674 0.0681 0.0842
O 0.0894 0.0922 0.9945
O 0.0844 0.7834 0.5674
O 0.6458 0.4120 0.1118
O 0.9156 0.2834 0.9326
O 0.4106 0.9078 0.4945
O 0.0420 0.8163 0.0907
S 0.8009 0.4403 0.7947
O 0.7014 0.8012 0.0587
O 0.8489 0.6736 0.3249
O 0.7135 0.9169 0.7778
Na 0.0089 0.3323 0.6602
Na 0.4911 0.6677 0.1602
O 0.9624 0.3367 0.7730
O 0.1552 0.4799 0.5729
O 0.8559 0.0620 0.0993
O 0.6511 0.3264 0.8249
O 0.6441 0.9380 0.5993
O 0.1511 0.1736 0.1751
S 0.1661 0.3664 0.3967
O 0.6397 0.4524 0.3483
O 0.2865 0.4169 0.7222
O 0.4544 0.6776 0.5686
S 0.0030 0.6067 0.5666
O 0.4580 0.1837 0.5907
O 0.2986 0.3012 0.4413
O 0.7850 0.4557 0.2486
S 0.3009 0.0597 0.2053
O 0.6552 0.0201 0.4271
O 0.0376 0.8367 0.7270
O 0.9106 0.5922 0.5055
S 0.8339 0.8664 0.1033
O 0.9580 0.3163 0.4093
O 0.0456 0.3224 0.0686
S 0.4970 0.3933 0.0666
O 0.1458 0.0880 0.8882
Na 0.2817 0.2715 0.8163
O 0.4156 0.2166 0.0674
O 0.2203 0.3227 0.3359
Na 0.5089 0.1677 0.3398
S 0.3339 0.6336 0.8967
O 0.4624 0.1633 0.2270
O 0.7865 0.0831 0.2778
Na 0.2183 0.7285 0.3163
S 0.1991 0.9403 0.7053
O 0.3559 0.4380 0.9007
O 0.8542 0.5880 0.6118
O 0.7150 0.5443 0.7486
O 0.2150 0.9557 0.2514
O 0.2797 0.6773 0.8359
Na 0.7183 0.7715 0.6837
O 0.3603 0.9524 0.1517
O 0.3542 0.9120 0.3882
Na 0.7817 0.2285 0.1837
S 0.6991 0.5597 0.2947
O 0.6476 0.4124 0.4730
Na 0.9911 0.8323 0.8398
O 0.1441 0.5620 0.4007
O 0.7203 0.1773 0.6641
S 0.5030 0.8933 0.4334
O 0.1476 0.0876 0.5270
Hf 0.8326 0.5681 0.4158

Output
space-group type	P2_12_12_1 (19)
total energy	-5.95	eV per atom
ΔE_f	-1.719	eV/atom
magnetization	0.29	μB per atom

No. 6
Compound: Pb2Cl3O
Source: the Materials Project
Functional: PBE-GGA
Structure: relaxed

Lattice parameters (Å, degrees): 11.5646 11.5646 3.9130 90.00 90.00 120.00
Positions (direct):
Cl 0.3218 0.8483 0.5000
Cl 0.6920 0.5232 0.0000
Pb 0.1130 0.2797 0.0000
O 0.3513 0.3965 0.0000
Pb 0.1668 0.8870 0.0000
Pb 0.6048 0.0603 0.5000
Cl 0.8312 0.3080 0.0000
Cl 0.1959 0.1389 0.5000
Cl 0.8611 0.0570 0.5000
Pb 0.7203 0.8332 0.0000
Pb 0.9397 0.5445 0.5000
Cl 0.1517 0.4735 0.5000
Cl 0.4768 0.1688 0.0000
O 0.0452 0.6487 0.0000
Cl 0.9430 0.8041 0.5000
Pb 0.4555 0.3952 0.5000
O 0.6035 0.9548 0.0000
Cl 0.5265 0.6782 0.5000

Output
space-group type	P-6 (174)
total energy	-3.88	eV per atom
ΔE_f	-1.009	eV/atom
magnetization	0.12	μB per atom

No. 7
Compound: Ba5As2S2O12
Source: the Materials Project
Functional: PBE-GGA
Structure: relaxed

Lattice parameters (Å, degrees): 7.8495 10.7010 10.7055 60.09 90.00 90.00
Positions (direct):
As 0.5000 0.5856 0.0345
As 0.0000 0.4170 0.9637
Ba 0.0000 0.7555 0.0155
Ba 0.5000 0.2346 0.9990
O 0.0000 0.5056 0.3438
As 0.5000 0.0338 0.3827
Ba 0.7504 0.3334 0.3258
S 0.7499 0.0019 0.9922
O 0.6781 0.0914 0.2738
O 0.0000 0.1245 0.5235
O 0.1773 0.7286 0.3654
O 0.5000 0.8489 0.4942
S 0.5000 0.3790 0.5835
S 0.0000 0.9641 0.6207
O 0.5000 0.4667 0.4221
O 0.6554 0.2862 0.6311
Ba 0.2506 0.6627 0.6662
O 0.0000 0.6040 0.8732
As 0.0000 0.6188 0.4155
Ba 0.0000 0.0064 0.2288
O 0.5000 0.6607 0.8490
O 0.0000 0.5231 0.6023
O 0.8227 0.7286 0.3654
Ba 0.2496 0.3334 0.3258
O 0.1780 0.3652 0.9064
O 0.0000 0.3419 0.1488
O 0.5000 0.4767 0.6465
O 0.6774 0.6350 0.0942
O 0.8445 0.9186 0.7132
S 0.2501 0.0019 0.9922
O 0.8220 0.3652 0.9064
Ba 0.0000 0.2331 0.7697
Ba 0.5000 0.7720 0.2361
O 0.3219 0.0914 0.2738
Ba 0.7494 0.6627 0.6662
O 0.0000 0.8893 0.5333
Ba 0.5000 0.9892 0.7717
O 0.3446 0.2862 0.6311
O 0.1555 0.9186 0.7132
O 0.5000 0.1249 0.4792
O 0.5000 0.3988 0.1261
O 0.3226 0.6350 0.0942

Output
space-group type	Pm (6)
total energy	-6.37	eV per atom
ΔE_f	-2.638	eV/atom
magnetization	0.00	μB per atom

No. 8
Compound: Si4Pb2O11
Source: the Materials Project
Functional: PBE-GGA
Structure: relaxed

Lattice parameters (Å, degrees): 8.6901 9.7988 13.2116 90.00 90.00 90.00
Positions (direct):
Si 0.3642 0.1784 0.8040
O 0.5945 0.6493 0.0147
O 0.9153 0.2803 0.9178
Si 0.1851 0.9351 0.7304
Pb 0.9634 0.5549 0.5306
O 0.2756 0.5637 0.3065
O 0.6955 0.6887 0.2407
Si 0.1358 0.6784 0.3040
O 0.4921 0.3924 0.2610
O 0.2244 0.0637 0.8065
Si 0.3635 0.6773 0.6984
Si 0.1866 0.4351 0.7726
O 0.7244 0.4363 0.8065
O 0.3048 0.8120 0.7609
O 0.9055 0.1493 0.5147
O 0.2053 0.9715 0.6110
O 0.3045 0.3113 0.7407
O 0.4137 0.7172 0.5842
O 0.5079 0.6076 0.7610
O 0.5091 0.1077 0.7431
O 0.2912 0.9725 0.3919
O 0.8045 0.1887 0.7407
Si 0.1365 0.1773 0.1984
Pb 0.0366 0.4451 0.0306
O 0.2947 0.4715 0.1110
O 0.5863 0.2828 0.0842
Si 0.8642 0.3216 0.8040
O 0.7912 0.5275 0.3919
O 0.0091 0.3923 0.7431
O 0.5847 0.7803 0.4178
Pb 0.9608 0.0525 0.9743
O 0.4909 0.8923 0.2431
O 0.2771 0.0644 0.1969
O 0.7229 0.9356 0.6969
O 0.9137 0.7828 0.5842
Si 0.6365 0.3227 0.1984
O 0.0945 0.8507 0.0147
O 0.9921 0.1076 0.2610
O 0.9909 0.6077 0.2431
Pb 0.4608 0.4475 0.9743
O 0.7088 0.0275 0.8919
O 0.7756 0.9363 0.3065
Pb 0.0392 0.9475 0.4743
Si 0.6851 0.5649 0.7304
Si 0.3134 0.9351 0.2726
O 0.4153 0.2197 0.9178
Si 0.3149 0.4351 0.2304
O 0.7771 0.4356 0.1969
O 0.0863 0.2172 0.0842
Si 0.8635 0.8227 0.6984
O 0.0847 0.7197 0.4178
Pb 0.5366 0.0549 0.0306
O 0.2229 0.5644 0.6969
O 0.6952 0.1880 0.2609
O 0.1952 0.3120 0.2609
O 0.7053 0.5285 0.6110
Si 0.6358 0.8216 0.3040
Si 0.8134 0.5649 0.2726
Pb 0.5392 0.5525 0.4743
O 0.0079 0.8924 0.7610
O 0.4055 0.3507 0.5147
Si 0.8149 0.0649 0.2304
O 0.8048 0.6880 0.7609
Pb 0.4634 0.9451 0.5306
Si 0.6866 0.0649 0.7726
O 0.7947 0.0285 0.1110
O 0.2088 0.4725 0.8919
O 0.1955 0.8113 0.2407

Output
space-group type	Pna2_1 (33)
total energy	-7.06	eV per atom
ΔE_f	-2.589	eV/atom
magnetization	0.12	μB per atom

No. 9
Compound: Cs3AsI6
Source: the Materials Project
Functional: PBE-GGA
Structure: relaxed

Lattice parameters (Å, degrees): 9.1876 9.1876 9.1876 60.00 60.00 60.00
Positions (direct):
Cs 0.7500 0.7500 0.7500
I 0.2217 0.7783 0.2217
Cs 0.5000 0.5000 0.5000
Cs 0.2500 0.2500 0.2500
I 0.7783 0.7783 0.2217
I 0.2217 0.2217 0.7783
I 0.7783 0.2217 0.7783
As 0.0000 0.0000 0.0000
I 0.7783 0.2217 0.2217
I 0.2217 0.7783 0.7783

Output
space-group type	Fm-3m (225)
total energy	-2.61	eV per atom
ΔE_f	-1.188	eV/atom
magnetization	0.00	μB per atom

No. 10
Compound: Cu2NiSnSe4
Source: the Materials Project
Functional: PBE-GGA
Structure: relaxed

Lattice parameters (Å, degrees): 6.9288 6.9288 6.9288 131.96 131.96 70.29
Positions (direct):
Se 0.3870 0.8755 0.0350
Se 0.8405 0.3520 0.9650
Se 0.6480 0.6130 0.4885
Se 0.1245 0.1595 0.5115
Cu 0.7500 0.2500 0.5000
Ni 0.5000 0.5000 0.0000
Sn 0.2500 0.7500 0.5000
Cu 0.0000 0.0000 0.0000

Output
space-group type	I-4 (82)
total energy	-4.24	eV per atom
ΔE_f	-0.485	eV/atom
magnetization	0.16	μB per atom

No. 11
Compound: Li2CaN2
Source: the Materials Project
Functional: PBE-GGA
Structure: relaxed

Lattice parameters (Å, degrees): 3.4829 3.4829 5.7699 90.00 90.00 120.00
Positions (direct):
Li 0.6667 0.3333 0.8841
Ca 0.0000 0.0000 0.5000
N 0.3333 0.6667 0.7556
Li 0.3333 0.6667 0.1159
N 0.6667 0.3333 0.2444

Output
space-group type	P-3m1 (164)
total energy	-4.64	eV per atom
ΔE_f	-0.286	eV/atom
magnetization	0.40	μB per atom

No. 12
Compound: LiCuPO4
Source: the Materials Project
Functional: PBE-GGA
Structure: relaxed

Lattice parameters (Å, degrees): 5.1314 5.1314 7.9538 86.56 86.56 120.07
Positions (direct):
O 0.3882 0.7854 0.9646
P 0.3368 0.6146 0.8008
O 0.0589 0.2987 0.8171
Li 0.8169 0.0111 0.0173
Li 0.0111 0.8169 0.5173
Cu 0.2391 0.5700 0.1920
O 0.2987 0.0589 0.3171
Cu 0.5700 0.2391 0.6920
O 0.3152 0.8283 0.6612
O 0.8283 0.3152 0.1612
O 0.6132 0.6391 0.2554
O 0.6391 0.6132 0.7554
O 0.7854 0.3882 0.4646
P 0.6146 0.3368 0.3008

Output
space-group type	Cc (9)
total energy	-6.20	eV per atom
ΔE_f	-2.132	eV/atom
magnetization	0.14	μB per atom
distance to the lowest polymorph of the same formula	0.065	eV/atom